Compound: MgV6O5F19
Source: Materials Project
Functional: PBE+U
Structure: optimized geometry

```
MgV6O5F19
1.0
5.3562 0.0000 0.0000
0.1332 5.4190 0.0000
0.0548 2.4576 15.3062
Mg V O F
1 6 5 19
Direct
0.0000 0.0000 0.0000 Mg
0.2540 0.3511 0.8411 V
0.2678 0.9420 0.5168 V
0.2766 0.6303 0.1933 V
0.6925 0.8302 0.8386 V
0.7212 0.4368 0.5166 V
0.7462 0.1594 0.1960 V
0.4525 0.7106 0.4949 O
0.4681 0.0567 0.8269 O
0.4780 0.3928 0.1720 O
0.5363 0.5579 0.8365 O
0.5437 0.2085 0.4964 O
0.0192 0.2755 0.5457 F
0.0347 0.9296 0.2030 F
0.0432 0.6190 0.8689 F
0.1657 0.4000 0.7315 F
0.1702 0.0866 0.4116 F
0.1766 0.7337 0.0695 F
0.2827 0.2352 0.9630 F
0.3065 0.6153 0.3093 F
0.3389 0.9530 0.6278 F
0.5359 0.8912 0.1717 F
0.6591 0.4587 0.6278 F
0.6940 0.0862 0.3083 F
0.7192 0.8041 0.9618 F
0.8235 0.2043 0.0728 F
0.8273 0.5731 0.4123 F
0.8324 0.8860 0.7348 F
0.9626 0.1168 0.8685 F
0.9692 0.4269 0.2084 F
0.9791 0.7827 0.5436 F
```

space-group type	P1, No. 1
ΔE to the lowest computed polymorph	2	meV per atom

=====

Compound: MgV4O5F7
Source: Materials Project
Functional: PBE+U
Structure: optimized geometry

```
MgV4O5F7
1.0
5.2260 0.0000 0.0000
-2.5659 4.8095 0.0000
-0.1467 -2.8966 8.4673
Mg V O F
1 4 5 7
Direct
0.0000 0.0000 0.0000 Mg
0.0095 0.0566 0.3517 V
0.3352 0.6290 0.0795 V
0.5126 0.0879 0.8430 V
0.7440 0.5605 0.5769 V
0.2826 0.8387 0.9689 O
0.3410 0.3298 0.9273 O
0.3797 0.3584 0.5088 O
0.7393 0.8452 0.1511 O
0.8341 0.8476 0.4652 O
0.1819 0.8098 0.6639 F
0.2320 0.8506 0.2683 F
0.2430 0.3260 0.2121 F
0.7273 0.8361 0.7823 F
0.7503 0.3306 0.7125 F
0.8564 0.3337 0.4094 F
0.8646 0.3115 0.0164 F
```

space-group type	P1, No. 1
ΔE to the lowest computed polymorph	2	meV per atom

=====

Compound: MgV4O4F8
Source: Materials Project
Functional: PBE+U
Structure: optimized geometry

```
MgV4O4F8
1.0
5.2763 0.0000 0.0000
0.0000 5.1284 0.0000
-0.4306 0.0000 7.7103
Mg V O F
1 4 4 8
Direct
0.0000 0.0000 0.0000 Mg
0.0077 0.5187 0.2584 V
0.4897 0.0168 0.7416 V
0.5103 0.0168 0.2584 V
0.9923 0.5187 0.7416 V
0.2050 0.1988 0.7216 O
0.2061 0.8326 0.1922 O
0.7939 0.8326 0.8078 O
0.7950 0.1988 0.2784 O
0.0000 0.3853 0.0000 F
0.0000 0.6379 0.5000 F
0.2966 0.7148 0.8244 F
0.3149 0.3213 0.3250 F
0.5000 0.1263 0.0000 F
0.5000 0.8899 0.5000 F
0.6851 0.3213 0.6750 F
0.7034 0.7148 0.1756 F
```

space-group type	P2, No. 3
ΔE to the lowest computed polymorph	54	meV per atom

=====

Compound: MgV4O5F7
Source: Materials Project
Functional: PBE+U
Structure: optimized geometry

```
MgV4O5F7
1.0
5.3474 0.0000 0.0000
-2.6236 4.8031 0.0000
-2.1771 -1.4165 8.3621
Mg V O F
1 4 5 7
Direct
0.0000 0.0000 0.0000 Mg
0.2452 0.1754 0.4223 V
0.2573 0.6649 0.9063 V
0.7158 0.8790 0.6402 V
0.7359 0.4569 0.1526 V
0.4312 0.5262 0.4994 O
0.5017 0.5858 0.0973 O
0.5963 0.7921 0.8229 O
0.9306 0.0533 0.5137 O
0.9869 0.6237 0.0269 O
0.0429 0.7538 0.3273 F
0.0501 0.2481 0.8287 F
0.4332 0.0937 0.9940 F
0.4682 0.0641 0.5895 F
0.5363 0.2166 0.3015 F
0.9924 0.1835 0.2001 F
0.9934 0.7238 0.7230 F
```

space-group type	P1, No. 1
ΔE to the lowest computed polymorph	36	meV per atom

=====

Compound: MgV4O5F7
Source: Materials Project
Functional: PBE+U
Structure: optimized geometry

```
MgV4O5F7
1.0
5.2268 0.0000 0.0000
-2.5630 4.7842 0.0000
-0.0172 -2.9259 8.5326
Mg V O F
1 4 5 7
Direct
0.0000 0.0000 0.0000 Mg
0.1051 0.1356 0.3641 V
0.3268 0.6704 0.1027 V
0.5182 0.0678 0.8396 V
0.8296 0.5871 0.6016 V
0.1073 0.8474 0.7917 O
0.1177 0.8572 0.1635 O
0.4634 0.3493 0.4318 O
0.5570 0.8460 0.9786 O
0.9685 0.3628 0.5191 O
0.0266 0.8581 0.4778 F
0.0793 0.3417 0.2116 F
0.4390 0.3317 0.0304 F
0.5866 0.3579 0.7331 F
0.6289 0.8316 0.6671 F
0.6357 0.8754 0.2777 F
0.9754 0.3345 0.9317 F
```

space-group type	P1, No. 1
ΔE to the lowest computed polymorph	0	meV per atom

=====

Compound: MgV2O4F2
Source: Materials Project
Functional: PBE+U
Structure: optimized geometry

```
MgV2O4F2
1.0
5.1129 0.0000 0.0000
-2.4554 4.5223 0.0000
-2.3776 -1.5177 4.5632
Mg V O F
1 2 4 2
Direct
0.0000 0.0000 0.0000 Mg
0.5650 0.7437 0.3694 V
0.6222 0.3080 0.8761 V
0.1009 0.4199 0.1549 O
0.5372 0.9809 0.6616 O
0.7251 0.6824 0.1504 O
0.7299 0.5883 0.6701 O
0.1177 0.1633 0.6799 F
0.4582 0.0487 0.1454 F
```

space-group type	P1, No. 1

=====

Compound: MgV2O2F6
Source: Materials Project
Functional: PBE+U
Structure: optimized geometry

```
MgV2O2F6
1.0
4.9076 -3.1944 0.0000
4.9076 3.1944 0.0000
-0.1458 0.0000 5.1307
Mg V O F
1 2 2 6
Direct
0.0000 0.0000 0.0000 Mg
0.4689 0.5311 0.0000 V
0.7158 0.2842 0.5000 V
0.4360 0.3767 0.2918 O
0.6233 0.5640 0.7082 O
0.0404 0.1494 0.6781 F
0.1355 0.6433 0.8749 F
0.3567 0.8645 0.1251 F
0.6184 0.1597 0.8206 F
0.8403 0.3816 0.1794 F
0.8506 0.9596 0.3219 F
```

space-group type	C2, No. 5
ΔE to the lowest computed polymorph	104	meV per atom

=====

Compound: MgV4O5F7
Source: Materials Project
Functional: PBE+U
Structure: optimized geometry

```
MgV4O5F7
1.0
5.1003 0.0000 0.0000
2.4525 4.9047 0.0000
2.3706 1.7565 8.4875
Mg V O F
1 4 5 7
Direct
0.0000 0.0000 0.0000 Mg
0.2477 0.9887 0.5986 V
0.4492 0.2650 0.8393 V
0.6466 0.5177 0.1128 V
0.9730 0.7546 0.3622 V
0.1117 0.9122 0.4378 O
0.2365 0.7078 0.1631 O
0.2646 0.0772 0.7939 O
0.6084 0.8324 0.5301 O
0.6206 0.3802 0.9375 O
0.1048 0.3087 0.0308 F
0.1869 0.3708 0.4755 F
0.2089 0.6389 0.7368 F
0.7079 0.8696 0.9715 F
0.7240 0.1059 0.2214 F
0.7623 0.5809 0.2859 F
0.7780 0.1804 0.6701 F
```

space-group type	P1, No. 1
ΔE to the lowest computed polymorph	7	meV per atom

=====

Compound: MgV2O2F6
Source: Materials Project
Functional: PBE+U
Structure: optimized geometry

```
MgV2O2F6
1.0
4.6656 0.0000 0.0000
-0.0011 4.8027 0.0000
-2.2235 -2.3807 6.5954
Mg V O F
1 2 2 6
Direct
0.0000 0.0000 0.0000 Mg
0.3257 0.7412 0.6081 V
0.6731 0.1342 0.3925 V
0.4406 0.8801 0.4094 O
0.5578 0.4703 0.5910 O
0.0307 0.0568 0.5945 F
0.1727 0.7168 0.8234 F
0.3729 0.2346 0.1770 F
0.6257 0.0560 0.8228 F
0.8272 0.8963 0.1782 F
0.9675 0.4637 0.4066 F
```

space-group type	P1, No. 1
ΔE to the lowest computed polymorph	35	meV per atom

=====

Compound: MgV4O5F7
Source: Materials Project
Functional: PBE+U
Structure: optimized geometry

```
MgV4O5F7
1.0
5.1473 0.0000 0.0000
-0.1187 5.5590 0.0000
-0.0390 -0.3861 7.5195
Mg V O F
1 4 5 7
Direct
0.0000 0.0000 0.0000 Mg
0.0333 0.4265 0.3027 V
0.5357 0.8891 0.7945 V
0.5476 0.9260 0.2931 V
0.9668 0.4156 0.7850 V
0.2690 0.6233 0.2532 O
0.6427 0.8759 0.0543 O
0.6836 0.6015 0.7509 O
0.7347 0.1760 0.3471 O
0.7862 0.0972 0.7655 O
0.1292 0.3971 0.5494 F
0.1809 0.7298 0.8691 F
0.2157 0.1055 0.2242 F
0.2694 0.1842 0.8641 F
0.4006 0.9028 0.5457 F
0.7832 0.6733 0.3666 F
0.9005 0.3692 0.0530 F
```

space-group type	P1, No. 1
ΔE to the lowest computed polymorph	49	meV per atom

=====

Compound: MgV4O5F7
Source: Materials Project
Functional: PBE+U
Structure: optimized geometry

```
MgV4O5F7
1.0
5.2416 0.0000 0.0000
2.5582 4.6191 0.0000
0.1967 2.6999 8.8864
Mg V O F
1 4 5 7
Direct
0.0000 0.0000 0.0000 Mg
0.1082 0.7403 0.3857 V
0.3665 0.2638 0.1091 V
0.5784 0.7825 0.8674 V
0.8160 0.2438 0.6081 V
0.0319 0.0281 0.4994 O
0.3840 0.6236 0.0036 O
0.4539 0.4816 0.4712 O
0.6171 0.0051 0.9982 O
0.7083 0.9651 0.7236 O
0.1051 0.5175 0.2427 F
0.1420 0.0883 0.7823 F
0.2210 0.9629 0.2057 F
0.6024 0.5028 0.7449 F
0.7139 0.0602 0.2691 F
0.9030 0.5815 0.5221 F
0.9703 0.4123 0.9735 F
```

space-group type	P1, No. 1
ΔE to the lowest computed polymorph	24	meV per atom

=====

Compound: MgV4O4F8
Source: Materials Project
Functional: PBE+U
Structure: optimized geometry

```
MgV4O4F8
1.0
5.1450 0.0000 0.0000
2.4214 4.7245 0.0000
2.3156 1.6886 8.8625
Mg V O F
1 4 4 8
Direct
0.0000 0.0000 0.0000 Mg
0.0939 0.1396 0.6211 V
0.3217 0.3969 0.8654 V
0.5339 0.6269 0.1430 V
0.8525 0.8947 0.3812 V
0.1350 0.8597 0.2040 O
0.1947 0.1797 0.8037 O
0.3695 0.5923 0.9783 O
0.9412 0.0760 0.4719 O
0.0707 0.7651 0.7539 F
0.0921 0.5085 0.4935 F
0.4983 0.9115 0.5391 F
0.5724 0.2345 0.2572 F
0.6066 0.0113 0.9981 F
0.6650 0.3489 0.7162 F
0.7107 0.6706 0.2910 F
0.9418 0.4027 0.0304 F
```

space-group type	P1, No. 1
ΔE to the lowest computed polymorph	2	meV per atom

=====

Compound: MgV6O5F19
Source: Materials Project
Functional: PBE+U
Structure: optimized geometry

```
MgV6O5F19
1.0
5.2892 0.0000 0.0000
0.0296 5.4153 0.0000
0.1219 2.6467 15.3716
Mg V O F
1 6 5 19
Direct
0.0000 0.0000 0.0000 Mg
0.1912 0.1447 0.1980 V
0.2566 0.4981 0.5138 V
0.2718 0.7882 0.8379 V
0.7345 0.6409 0.1937 V
0.7737 0.0232 0.5177 V
0.7811 0.2952 0.8360 V
0.0161 0.4058 0.2055 O
0.0323 0.0911 0.8594 O
0.4584 0.5444 0.8394 O
0.9516 0.2564 0.5362 O
0.9726 0.9128 0.2089 O
0.0384 0.7717 0.5411 F
0.1520 0.5490 0.4051 F
0.1743 0.1957 0.0710 F
0.1761 0.8573 0.7289 F
0.2816 0.7904 0.9592 F
0.3127 0.4023 0.6264 F
0.3327 0.0879 0.3020 F
0.4670 0.2111 0.4894 F
0.4689 0.8865 0.1664 F
0.5169 0.3881 0.1639 F
0.5312 0.0329 0.8171 F
0.5389 0.7045 0.4934 F
0.6492 0.9137 0.6233 F
0.6549 0.5791 0.3044 F
0.7021 0.2132 0.9603 F
0.7811 0.4229 0.7233 F
0.8277 0.0285 0.4055 F
0.8281 0.7282 0.0718 F
0.9667 0.5939 0.8637 F
```

space-group type	P1, No. 1
ΔE to the lowest computed polymorph	22	meV per atom

=====

Compound: MgV4O5F7
Source: Materials Project
Functional: PBE+U
Structure: optimized geometry

```
MgV4O5F7
1.0
5.1097 0.0000 0.0000
-0.0102 5.3286 0.0000
-0.0910 -0.5675 7.6184
Mg V O F
1 4 5 7
Direct
0.0000 0.0000 0.0000 Mg
0.4828 0.9204 0.2989 V
0.4862 0.9100 0.7803 V
0.9666 0.4267 0.2718 V
0.9816 0.4200 0.7788 V
0.1631 0.7162 0.8454 O
0.1894 0.0882 0.2269 O
0.7639 0.7273 0.3269 O
0.8075 0.1220 0.7646 O
0.8957 0.4011 0.0502 O
0.0848 0.4198 0.5322 F
0.2879 0.2176 0.8627 F
0.2896 0.6020 0.2414 F
0.3661 0.9384 0.5419 F
0.6212 0.9066 0.0348 F
0.6659 0.5931 0.7145 F
0.6732 0.2351 0.3543 F
```

space-group type	P1, No. 1
ΔE to the lowest computed polymorph	56	meV per atom

=====

Compound: MgV2O2F4
Source: Materials Project
Functional: PBE+U
Structure: optimized geometry

```
MgV2O2F4
1.0
5.2516 0.0000 0.0000
2.2248 4.7649 0.0000
2.5538 1.6236 4.4688
Mg V O F
1 2 2 4
Direct
0.0000 0.0000 0.0000 Mg
0.3042 0.1952 0.2617 V
0.8034 0.6945 0.7484 V
0.0020 0.9968 0.5077 O
0.6519 0.3469 0.0045 O
0.0470 0.5906 0.0305 F
0.1659 0.3779 0.5785 F
0.4062 0.9515 0.9806 F
0.6218 0.8336 0.4307 F
```

space-group type	P1, No. 1
ΔE to the lowest computed polymorph	61	meV per atom

=====

Compound: MgV6O11F
Source: Materials Project
Functional: PBE+U
Structure: optimized geometry

```
MgV6O11F
1.0
4.7480 0.0000 0.0000
0.2509 4.8243 0.0000
0.0334 0.1132 9.0199
Mg V O F
1 6 11 1
Direct
0.0000 0.0000 0.0000 Mg
0.0107 0.5021 0.6770 V
0.0200 0.4991 0.0047 V
0.0366 0.5226 0.3559 V
0.4878 0.9687 0.1838 V
0.4989 0.9861 0.8305 V
0.5507 0.0408 0.5082 V
0.1696 0.7185 0.1724 O
0.1957 0.6975 0.5098 O
0.2006 0.7386 0.8479 O
0.3106 0.2199 0.3437 O
0.3309 0.2056 0.6731 O
0.3349 0.2050 0.0096 O
0.6841 0.7769 0.0063 O
0.6980 0.8048 0.6726 O
0.7015 0.7855 0.3477 O
0.8145 0.2957 0.5062 O
0.8332 0.2772 0.8500 O
0.8317 0.2565 0.1677 F
```

space-group type	P1, No. 1

=====

Let's list calculated formation energy in order: -277; -278; -278; -275; -278; -265; -288; -278; -294; -274; -276; -284; -275; -273; -282; -238 kJ per mole of atoms.
Let's list calculated density in order: 2.9; 3.4; 3.5; 3.4; 3.4; 3.6; 2.8; 3.4; 3.1; 3.4; 3.4; 3.4; 2.9; 3.5; 3.5; 4.2 g cm⁻³.